# 1
First-principles (PBE with a Hubbard U) data for an optimized crystal structure of Li4TiV4Cr4O18, as listed in the Materials Project database.

Structure (POSCAR):
```
Li4TiV4Cr4O18
1.0
2.976 0.000 0.000
0.000 8.963 0.000
0.000 0.000 24.956
O Li V Ti Cr
36 8 8 2 8
direct
0.500 0.099 0.005
0.500 0.636 0.335
0.500 0.202 0.660
0.000 0.049 0.586
0.000 0.342 0.743
0.000 0.658 0.243
0.500 0.133 0.165
0.500 0.098 0.785
0.500 0.191 0.442
0.500 0.902 0.285
0.500 0.403 0.212
0.000 0.840 0.757
0.500 0.399 0.995
0.000 0.160 0.257
0.500 0.601 0.495
0.500 0.867 0.665
0.500 0.692 0.057
0.500 0.809 0.942
0.500 0.901 0.505
0.500 0.364 0.835
0.500 0.597 0.712
0.000 0.454 0.413
0.000 0.568 0.144
0.500 0.704 0.840
0.500 0.308 0.557
0.500 0.798 0.160
0.000 0.951 0.086
0.000 0.249 0.924
0.500 0.296 0.340
0.000 0.752 0.577
0.000 0.546 0.913
0.000 0.248 0.077
0.000 0.751 0.424
0.000 0.937 0.854
0.000 0.432 0.644
0.000 0.063 0.354
0.000 0.541 0.813
0.000 0.934 0.994
0.000 0.066 0.494
0.000 0.435 0.510
0.000 0.565 0.010
0.000 0.044 0.690
0.000 0.956 0.190
0.000 0.459 0.313
0.000 0.253 0.603
0.000 0.751 0.500
0.500 0.896 0.803
0.000 0.747 0.103
0.500 0.607 0.196
0.000 0.249 0.000
0.500 0.393 0.696
0.500 0.104 0.303
0.000 0.756 0.898
0.000 0.244 0.398
0.000 0.768 0.310
0.500 0.101 0.087
0.000 0.733 0.689
0.000 0.267 0.189
0.000 0.232 0.810
0.500 0.397 0.914
0.500 0.603 0.414
0.500 0.899 0.587
```

# 2
First-principles (PBE with a Hubbard U) data for an optimized crystal structure of LiMn6O4F8, as listed in the Materials Project database.

Structure (POSCAR):
```
LiMn6O4F8
1.0
-4.998 0.006 -0.018
-0.037 4.850 -6.357
-0.006 -4.891 -3.210
Mn F O Li
6 8 4 1
direct
0.985 0.999 0.000
0.956 0.683 0.663
0.602 0.652 0.200
0.019 0.323 0.346
0.488 0.007 0.501
0.496 0.336 0.830
0.782 0.442 0.610
0.703 0.111 0.797
0.287 0.884 0.200
0.275 0.560 0.859
0.204 0.904 0.698
0.208 0.571 0.360
0.210 0.224 0.044
0.784 0.103 0.304
0.695 0.429 0.097
0.316 0.228 0.556
0.808 0.763 0.985
0.683 0.795 0.468
0.111 0.677 0.108
```

Output
Energy above the most stable polymorph in this dataset = 0.56 eV per formula unit

# 3
First-principles (PBE with a Hubbard U) data for an optimized crystal structure of Zn2TeMoO7, as listed in the Materials Project database.

Structure (POSCAR):
```
Zn2TeMoO7
1.0
8.576 0.000 0.000
0.000 5.248 0.000
0.000 1.218 7.256
O Zn Mo Te
14 4 2 2
direct
0.442 0.294 0.367
0.791 0.312 0.456
0.651 0.752 0.454
0.942 0.706 0.633
0.291 0.258 0.948
0.121 0.721 0.949
0.027 0.006 0.234
0.151 0.248 0.546
0.445 0.789 0.158
0.791 0.742 0.052
0.291 0.688 0.544
0.621 0.279 0.051
0.945 0.211 0.842
0.527 0.994 0.766
0.140 0.477 0.761
0.961 0.053 0.488
0.640 0.523 0.239
0.461 0.947 0.512
0.969 0.922 0.016
0.469 0.078 0.984
0.751 0.515 0.645
0.251 0.485 0.355
```

Summary of VASP energy in eV per atom
-7.39; -6.48; -5.72
(order as listed above)
Summary of spin magnetization in μB per cell
32.00; 27.00; 0.00
(order as listed above)